#A
Compound: Mg14WC
Source: the Materials Project
Functional: GGA-PBE
Structure: relaxed

a = 6.2296 Å, b = 6.2296 Å, c = 9.5262 Å
α = 90.00°, β = 90.00°, γ = 120.00°
Last column: nearest neighbours and their distance in Å.
Space group P-6m2 (No. 187)
Unique sites:
Mg 0.0000 0.0000 0.2451 (multiplicity 2)  12 Mg 2.97-3.12
Mg 0.0263 0.5131 0.2592 (multiplicity 6)  1 C 2.83, 8 Mg 2.87-3.12, 1 W 2.97
Mg 0.3297 0.1648 0.5000 (multiplicity 3)  10 Mg 2.97-3.15, 2 C 3.11
Mg 0.3394 0.1697 0.0000 (multiplicity 3)  10 Mg 2.97-3.17, 2 W 3.11
W 0.3333 0.6667 0.0000 (multiplicity 1)  12 Mg 2.97-3.11
C 0.3333 0.6667 0.5000 (multiplicity 1)  12 Mg 2.83-3.11

Summary:
Magnetization in μB per formula unit: 0.0

#B
Compound: Mg14WC
Source: the Materials Project
Functional: GGA-PBE
Structure: relaxed

a = 9.1418 Å, b = 7.8114 Å, c = 9.7298 Å
α = 90.00°, β = 90.00°, γ = 90.00°
Last column: nearest neighbours and their distance in Å.
Space group Amm2 (No. 38)
Unique sites:
Mg 0.0000 0.0000 0.0000 (multiplicity 2)  10 Mg 3.12-3.23
Mg 0.0000 0.0000 0.4536 (multiplicity 2)  8 Mg 3.04-3.23
Mg 0.0000 0.2238 0.7322 (multiplicity 4)  8 Mg 2.99-3.23
Mg 0.2512 0.0000 0.2327 (multiplicity 4)  1 C 2.28
Mg 0.2526 0.0000 0.6566 (multiplicity 4)  7 Mg 2.91-3.06, 1 W 3.07
Mg 0.2864 0.2079 0.9494 (multiplicity 8)  1 W 3.00, 8 Mg 3.06-3.29
Mg 0.5000 0.2305 0.6932 (multiplicity 4)  1 C 2.17
W 0.5000 0.0000 0.4436 (multiplicity 2)  1 C 1.89
C 0.5000 0.0000 0.2492 (multiplicity 2)  1 W 1.89

Summary:
Magnetization in μB per formula unit: 0.0

Which structure is the most stable? The one labeled #B.